A relaxed structure of LuH3O3. Source: the Materials Project, functional PBE-GGA.

Cell lengths 10.1112, 5.2968, 6.1674 Å; angles 84.32, 90.00, 90.00 degrees
Fractional positions:
O  0.1811  0.2256  0.8278
Lu  0.3297  0.0093  0.0378
O  0.5062  0.7912  0.1503
H  0.3066  0.4097  0.3102
Lu  0.6703  0.9907  0.9622
H  0.1126  0.6896  0.2268
O  0.3057  0.7770  0.7556
O  0.6811  0.7744  0.6722
H  0.4739  0.2402  0.6949
H  0.8874  0.3104  0.7732
H  0.6126  0.3104  0.2732
H  0.6934  0.5903  0.6898
Lu  0.8297  0.9907  0.4622
O  0.0062  0.2088  0.3497
O  0.1943  0.7770  0.2556
H  0.3874  0.6896  0.7268
H  0.0261  0.2402  0.1949
H  0.5261  0.7598  0.3051
H  0.9739  0.7598  0.8051
H  0.1934  0.4097  0.8102
O  0.8057  0.2230  0.7444
O  0.4938  0.2088  0.8497
O  0.9938  0.7912  0.6503
O  0.3189  0.2256  0.3278
H  0.8066  0.5903  0.1898
O  0.6943  0.2230  0.2444
Lu  0.1703  0.0093  0.5378
O  0.8189  0.7744  0.1722

Values from the calculation:
Volume in Å³/atom: 11.74
Energy above the lowest structure with this stoichiometry in meV/atom: 57.9
M_tot in μB/f.u.: 0.000

=====

A relaxed structure of LuH3O3. Source: the Materials Project, functional PBE-GGA.

Cell lengths 6.2256, 6.2256, 3.4634 Å; angles 90.00, 90.00, 120.00 degrees
Fractional positions:
H  0.2771  0.1383  0.2500
H  0.8617  0.1388  0.2500
O  0.0849  0.3990  0.7500
Lu  0.6667  0.3333  0.7500
H  0.8612  0.7229  0.2500
H  0.1388  0.2771  0.7500
O  0.6010  0.6860  0.7500
H  0.1383  0.8612  0.7500
Lu  0.3333  0.6667  0.2500
O  0.3990  0.3140  0.2500
O  0.9151  0.6010  0.2500
O  0.6860  0.0849  0.2500
H  0.7229  0.8617  0.7500
O  0.3140  0.9151  0.7500

Values from the calculation:
Volume in Å³/atom: 8.30
Energy above the lowest structure with this stoichiometry in meV/atom: 53.1
M_tot in μB/f.u.: 0.000

=====

A relaxed structure of LuH3O3. Source: the Materials Project, functional PBE-GGA.

Cell lengths 7.0862, 7.0995, 7.1129 Å; angles 108.74, 111.84, 107.41 degrees
Fractional positions:
Lu  0.4997  0.0112  0.0381
H  0.3199  0.0440  0.3694
H  0.6815  0.0333  0.7196
H  0.1957  0.4106  0.7936
O  0.3234  0.1668  0.4939
O  0.1889  0.5213  0.3421
O  0.5463  0.6989  0.8398
H  0.1696  0.6236  0.4602
H  0.3889  0.6037  0.7937
O  0.1318  0.3001  0.8361
O  0.8079  0.1372  0.3376
O  0.8084  0.6585  0.1429
O  0.6618  0.1543  0.8232
H  0.8264  0.3553  0.5364
O  0.1562  0.8301  0.6783
O  0.8314  0.4867  0.6597
O  0.4849  0.3299  0.1552
O  0.3050  0.8226  0.1372
Lu  0.9872  0.9976  0.4926
O  0.6750  0.8289  0.5107
Lu  0.5041  0.4924  0.4820
H  0.0368  0.7114  0.6793
Lu  0.0216  0.5279  0.0179
H  0.6768  0.6782  0.9953
H  0.7046  0.5393  0.1584
H  0.5524  0.8356  0.3875
H  0.5356  0.1657  0.7040
H  0.3444  0.3139  0.0263

Values from the calculation:
Volume in Å³/atom: 9.88
Energy above the lowest structure with this stoichiometry in meV/atom: 93.4
M_tot in μB/f.u.: 0.000

=====

A relaxed structure of LuH3O3. Source: the Materials Project, functional PBE-GGA.

Cell lengths 6.0726, 10.4187, 14.4329 Å; angles 46.95, 90.00, 90.00 degrees
Fractional positions:
O  0.3632  0.9096  0.1065
H  0.0723  0.3012  0.6063
H  0.7247  0.5050  0.7921
Lu  0.4745  0.3361  0.4978
H  0.7930  0.0790  0.8867
O  0.2213  0.2950  0.8859
O  0.2787  0.2950  0.3859
O  0.7308  0.4046  0.8844
Lu  0.0255  0.3361  0.9978
Lu  0.4659  0.8303  0.0020
O  0.1511  0.2232  0.6030
H  0.2070  0.9210  0.1133
O  0.8632  0.0904  0.3935
O  0.7213  0.7050  0.6141
O  0.6554  0.0809  0.6068
H  0.7070  0.0790  0.3867
O  0.8446  0.0809  0.1068
Lu  0.9659  0.1697  0.4980
H  0.1299  0.7020  0.7987
H  0.4277  0.3012  0.1063
O  0.3855  0.6095  0.3911
O  0.2692  0.5954  0.1156
O  0.1145  0.6095  0.8911
O  0.3489  0.2232  0.1030
H  0.8512  0.7701  0.1311
H  0.5723  0.6988  0.8937
O  0.1554  0.9191  0.8932
O  0.7692  0.4046  0.3844
H  0.8460  0.9869  0.1996
H  0.3701  0.7020  0.2987
Lu  0.5341  0.1697  0.9980
H  0.1540  0.0131  0.8004
H  0.7753  0.5050  0.2921
O  0.7787  0.7050  0.1141
O  0.2308  0.5954  0.6156
Lu  0.9745  0.6639  0.0022
H  0.6299  0.2980  0.7013
H  0.9277  0.6988  0.3937
H  0.2753  0.4950  0.2079
H  0.8701  0.2980  0.2013
H  0.1488  0.2299  0.8689
O  0.6145  0.3905  0.6089
O  0.3446  0.9191  0.3932
H  0.2930  0.9210  0.6133
Lu  0.0341  0.8303  0.5020
O  0.8489  0.7768  0.3970
H  0.2247  0.4950  0.7079
O  0.6511  0.7768  0.8970
H  0.3512  0.2299  0.3689
O  0.8855  0.3905  0.1089
H  0.6488  0.7701  0.6311
O  0.1368  0.9096  0.6065
H  0.3460  0.0131  0.3004
H  0.6540  0.9869  0.6996
Lu  0.5255  0.6639  0.5022
O  0.6368  0.0904  0.8935

Values from the calculation:
Volume in Å³/atom: 11.92
Energy above the lowest structure with this stoichiometry in meV/atom: 34.2
M_tot in μB/f.u.: 0.000

=====

A relaxed structure of LuH3O3. Source: the Materials Project, functional PBE-GGA.

Cell lengths 7.1134, 7.1134, 7.1134 Å; angles 109.55, 109.55, 109.55 degrees
Fractional positions:
O  0.1662  0.3183  0.4862
H  0.8328  0.4428  0.2754
O  0.3183  0.4862  0.1662
H  0.1672  0.5572  0.7246
H  0.5572  0.7246  0.1672
O  0.1548  0.8314  0.3205
H  0.3617  0.0451  0.3169
O  0.6795  0.8452  0.1686
H  0.4428  0.2754  0.8328
H  0.6383  0.9549  0.6831
O  0.3205  0.1548  0.8314
O  0.1686  0.6795  0.8452
H  0.2754  0.8328  0.4428
H  0.0451  0.3169  0.3617
O  0.4862  0.1662  0.3183
O  0.8452  0.1686  0.6795
Lu  0.0000  0.0000  0.5000
O  0.8338  0.6817  0.5138
O  0.8314  0.3205  0.1548
H  0.7246  0.1672  0.5572
Lu  0.0000  0.5000  0.0000
O  0.6817  0.5138  0.8338
O  0.5138  0.8338  0.6817
H  0.6831  0.6383  0.9549
H  0.9549  0.6831  0.6383
Lu  0.5000  0.5000  0.5000
Lu  0.5000  0.0000  0.0000
H  0.3169  0.3617  0.0451

Values from the calculation:
Volume in Å³/atom: 9.87
Energy above the lowest structure with this stoichiometry in meV/atom: 0.0

=====

A relaxed structure of LuHSe. Source: the Materials Project, functional PBE-GGA.

Cell lengths 3.7571, 3.7571, 3.8410 Å; angles 90.00, 90.00, 120.00 degrees
Fractional positions:
H  0.3333  0.6667  0.0000
Lu  0.0000  0.0000  0.0000
Se  0.6667  0.3333  0.5000

Values from the calculation:
Volume in Å³/atom: 15.65
E in eV per atom: -5.18

=====

A relaxed structure of Mg149H. Source: the Materials Project, functional PBE-GGA.

Cell lengths 15.9471, 15.9471, 15.6452 Å; angles 90.00, 90.00, 120.00 degrees
Fractional positions:
Mg  0.2658  0.1329  0.8336
Mg  0.8002  0.8005  0.3329
Mg  0.8005  0.6009  0.0000
Mg  0.6676  0.9334  0.1662
Mg  0.6013  0.8006  0.0000
Mg  0.2000  0.4000  0.3331
Mg  0.8001  0.4001  0.0000
Mg  0.0651  0.1302  0.8372
Mg  0.8671  0.7342  0.8336
Mg  0.2000  0.6000  0.3334
Mg  0.0000  0.4000  0.3332
Mg  0.8671  0.1329  0.8336
Mg  0.8043  0.8035  0.0000
Mg  0.4671  0.7336  0.8335
Mg  0.0002  0.6006  0.0000
Mg  0.0002  0.3996  0.0000
Mg  0.6000  0.0000  0.3332
Mg  0.4669  0.3333  0.5000
Mg  0.8002  0.9997  0.3329
Mg  0.4667  0.9333  0.1666
Mg  0.6667  0.1336  0.5000
Mg  0.6667  0.3333  0.5000
Mg  0.8000  0.4000  0.3330
Mg  0.6669  0.5338  0.1664
Mg  0.8002  0.1998  0.6669
Mg  0.1995  0.1998  0.6671
Mg  0.8667  0.7334  0.5000
Mg  0.8667  0.1333  0.5000
Mg  0.4000  0.8000  0.6666
Mg  0.2658  0.3324  0.1662
Mg  0.4667  0.5333  0.8334
Mg  0.4669  0.1336  0.5000
Mg  0.0003  0.8005  0.6671
Mg  0.0000  0.6001  0.3332
Mg  0.6000  0.6001  0.6668
Mg  0.6667  0.3333  0.1664
Mg  0.2658  0.1329  0.1664
Mg  0.0667  0.5333  0.1666
Mg  0.0666  0.7342  0.1662
Mg  0.8002  0.6004  0.6669
Mg  0.6669  0.1331  0.1664
Mg  0.1965  0.0008  0.0000
Mg  0.1995  0.9997  0.6671
Mg  0.4671  0.7336  0.1665
Mg  0.2658  0.3324  0.8338
Mg  0.2658  0.9334  0.1662
Mg  0.2002  0.6001  0.0000
Mg  0.3999  0.0000  0.3332
Mg  0.6669  0.7334  0.5000
Mg  0.8669  0.3331  0.1664
Mg  0.3996  0.1998  0.3331
Mg  0.3991  0.1995  0.0000
Mg  0.0003  0.1998  0.6671
Mg  0.4668  0.5332  0.5000
Mg  0.2666  0.3331  0.5000
Mg  0.6000  0.8000  0.6669
Mg  0.4668  0.9336  0.5000
Mg  0.0667  0.5333  0.8334
Mg  0.6000  0.8000  0.3331
Mg  0.2000  0.8000  0.6669
Mg  0.6004  0.6006  0.0000
Mg  0.6669  0.5338  0.8336
Mg  0.3999  0.7998  0.0000
Mg  0.6000  0.6001  0.3332
Mg  0.6004  0.9998  0.0000
Mg  0.1995  0.1998  0.3329
Mg  0.4000  0.8000  0.3334
Mg  0.6000  0.2000  0.3330
Mg  0.2666  0.1333  0.5000
Mg  0.3996  0.1998  0.6669
Mg  0.0651  0.9349  0.1628
Mg  0.3999  0.4000  0.3332
Mg  0.0000  0.0000  0.6691
Mg  0.4669  0.7335  0.5000
Mg  0.2000  0.6000  0.6666
Mg  0.0651  0.9349  0.8372
Mg  0.3999  0.4000  0.6668
Mg  0.6000  0.0000  0.6668
Mg  0.4000  0.6000  0.6666
Mg  0.0003  0.1998  0.3329
Mg  0.0666  0.7334  0.5000
Mg  0.2664  0.7336  0.1665
Mg  0.6676  0.7342  0.1662
Mg  0.2664  0.7336  0.8335
Mg  0.4667  0.9333  0.8334
Mg  0.3999  0.6001  0.0000
Mg  0.9992  0.1957  0.0000
Mg  0.1994  0.8006  0.0000
Mg  0.8000  0.4000  0.6670
Mg  0.0664  0.5332  0.5000
Mg  0.6669  0.1331  0.8336
Mg  0.8002  0.9997  0.6671
Mg  0.8002  0.1998  0.3331
Mg  0.3994  0.9998  0.0000
Mg  0.4662  0.1331  0.8336
Mg  0.0651  0.1302  0.1628
Mg  0.1965  0.1957  0.0000
Mg  0.6667  0.3333  0.8336
Mg  0.6000  0.4000  0.3330
Mg  0.4662  0.1331  0.1664
Mg  0.8672  0.9336  0.5000
Mg  0.4662  0.3331  0.1664
Mg  0.1995  0.9997  0.3329
Mg  0.6000  0.2000  0.6670
Mg  0.0000  0.6001  0.6668
Mg  0.4662  0.3331  0.8336
Mg  0.3994  0.3996  0.0000
Mg  0.8664  0.5331  0.5000
Mg  0.5999  0.1999  0.0000
Mg  0.3999  0.0000  0.6668
Mg  0.6667  0.5331  0.5000
Mg  0.0666  0.3324  0.1662
Mg  0.8043  0.0008  0.0000
Mg  0.6676  0.7342  0.8338
Mg  0.1994  0.3987  0.0000
Mg  0.8664  0.3333  0.5000
Mg  0.0664  0.1328  0.5000
Mg  0.8002  0.8005  0.6671
Mg  0.6676  0.9334  0.8338
Mg  0.4667  0.5333  0.1666
Mg  0.2658  0.9334  0.8338
Mg  0.8005  0.1995  0.0000
Mg  0.0666  0.3331  0.5000
Mg  0.8669  0.3331  0.8336
Mg  0.6669  0.9334  0.5000
H  0.0000  0.0000  0.0000
Mg  0.8669  0.5338  0.8336
Mg  0.5999  0.4001  0.0000
Mg  0.8698  0.9349  0.1628
Mg  0.2664  0.5329  0.8335
Mg  0.2000  0.4000  0.6669
Mg  0.0000  0.0000  0.3309
Mg  0.9992  0.8035  0.0000
Mg  0.8002  0.6004  0.3331
Mg  0.2665  0.5331  0.5000
Mg  0.0000  0.4000  0.6668
Mg  0.2665  0.7335  0.5000
Mg  0.8671  0.1329  0.1664
Mg  0.0664  0.9336  0.5000
Mg  0.0666  0.7342  0.8338
Mg  0.6000  0.4000  0.6670
Mg  0.8671  0.7342  0.1664
Mg  0.8669  0.5338  0.1664
Mg  0.8698  0.9349  0.8372
Mg  0.4000  0.6000  0.3334
Mg  0.0003  0.8005  0.3329
Mg  0.2664  0.5329  0.1665
Mg  0.2000  0.8000  0.3331
Mg  0.2666  0.9334  0.5000
Mg  0.0666  0.3324  0.8338

Values from the calculation:
Volume in Å³/atom: 22.97
E in eV per atom: -1.63
M_tot in μB/f.u.: 0.014